Entry from Materials Project: a geometry-optimized Lu2AgHg structure (meta-GGA r2SCAN).

Computed properties:
calculated density: 11.998 g/cm3
VASP energy: -37.19 eV per atom

a b c (Å): 5.0510 5.0510 5.0510
angles (deg): 60.00 60.00 60.00
Last column: nearest neighbours and their distance in Å.
Element x y z (fractional)
Hg: 0.7500 0.7500 0.7500  8 Lu 3.09
Lu: 0.0000 0.0000 0.0000  4 Hg 3.09, 4 Ag 3.09
Ag: 0.2500 0.2500 0.2500  8 Lu 3.09
Lu: 0.5000 0.5000 0.5000  4 Ag 3.09, 4 Hg 3.09

Entry from Materials Project: a geometry-optimized Nd2AgHg structure (meta-GGA r2SCAN).

Computed properties:
calculated density: 9.195 g/cm3
VASP energy: -32.80 eV per atom

a b c (Å): 5.3422 5.3422 5.3422
angles (deg): 60.00 60.00 60.00
Last column: nearest neighbours and their distance in Å.
Element x y z (fractional)
Nd: 0.0000 0.0000 0.0000  4 Hg 3.27, 4 Ag 3.27
Ag: 0.2500 0.2500 0.2500  8 Nd 3.27
Hg: 0.7500 0.7500 0.7500  8 Nd 3.27
Nd: 0.5000 0.5000 0.5000  4 Hg 3.27, 4 Ag 3.27

Entry from Materials Project: a geometry-optimized NdAgHg2 structure (meta-GGA r2SCAN).

Computed properties:
calculated density: 11.684 g/cm3
VASP energy: -37.79 eV per atom

a b c (Å): 5.0826 5.0826 5.0826
angles (deg): 60.00 60.00 60.00
Last column: nearest neighbours and their distance in Å.
Element x y z (fractional)
Nd: 0.7500 0.7500 0.7500  8 Hg 3.11
Hg: 0.5000 0.5000 0.5000  4 Nd 3.11, 4 Ag 3.11
Ag: 0.2500 0.2500 0.2500  8 Hg 3.11
Hg: 0.0000 0.0000 0.0000  4 Nd 3.11, 4 Ag 3.11

Entry from Materials Project: a geometry-optimized SmAgHg2 structure (meta-GGA r2SCAN).

Computed properties:
calculated density: 12.108 g/cm3
VASP energy: -37.87 eV per atom

a b c (Å): 5.0382 5.0382 5.0382
angles (deg): 60.00 60.00 60.00
Last column: nearest neighbours and their distance in Å.
Element x y z (fractional)
Sm: 0.7500 0.7500 0.7500  8 Hg 3.09
Ag: 0.2500 0.2500 0.2500  8 Hg 3.09
Hg: 0.0000 0.0000 0.0000  4 Ag 3.09, 4 Sm 3.09
Hg: 0.5000 0.5000 0.5000  4 Sm 3.09, 4 Ag 3.09

Entry from Materials Project: a geometry-optimized Sm2AgHg structure (meta-GGA r2SCAN).

Computed properties:
calculated density: 9.743 g/cm3
VASP energy: -32.98 eV per atom

a b c (Å): 5.2757 5.2757 5.2757
angles (deg): 60.00 60.00 60.00
Last column: nearest neighbours and their distance in Å.
Element x y z (fractional)
Ag: 0.2500 0.2500 0.2500  8 Sm 3.23
Sm: 0.5000 0.5000 0.5000  4 Ag 3.23, 4 Hg 3.23
Hg: 0.7500 0.7500 0.7500  8 Sm 3.23
Sm: 0.0000 0.0000 0.0000  4 Hg 3.23, 4 Ag 3.23

Entry from Materials Project: a geometry-optimized ThAgHg2 structure (meta-GGA r2SCAN).

Computed properties:
calculated density: 12.989 g/cm3
VASP energy: -48.63 eV per atom

a b c (Å): 5.1171 5.1171 5.1171
angles (deg): 60.00 60.00 60.00
Last column: nearest neighbours and their distance in Å.
Element x y z (fractional)
Hg: 0.2500 0.2500 0.2500  4 Ag 3.13, 4 Th 3.13
Ag: 0.5000 0.5000 0.5000  8 Hg 3.13
Hg: 0.7500 0.7500 0.7500  4 Ag 3.13, 4 Th 3.13
Th: 0.0000 0.0000 0.0000  8 Hg 3.13

Entry from Materials Project: a geometry-optimized YAgHg2 structure (meta-GGA r2SCAN).

Computed properties:
calculated density: 11.349 g/cm3
VASP energy: -35.48 eV per atom

a b c (Å): 4.9830 4.9830 4.9830
angles (deg): 60.00 60.00 60.00
Last column: nearest neighbours and their distance in Å.
Element x y z (fractional)
Ag: 0.2500 0.2500 0.2500  8 Hg 3.05
Hg: 0.5000 0.5000 0.5000  4 Ag 3.05, 4 Y 3.05
Hg: 0.0000 0.0000 0.0000  4 Y 3.05, 4 Ag 3.05
Y: 0.7500 0.7500 0.7500  8 Hg 3.05

Entry from Materials Project: a geometry-optimized Yb2AgHg structure (meta-GGA r2SCAN).

Computed properties:
calculated density: 11.799 g/cm3
VASP energy: -36.43 eV per atom

a b c (Å): 5.0693 5.0693 5.0693
angles (deg): 60.00 60.00 60.00
Last column: nearest neighbours and their distance in Å.
Element x y z (fractional)
Ag: 0.5000 0.5000 0.5000  8 Yb 3.10
Yb: 0.7500 0.7500 0.7500  4 Ag 3.10, 4 Hg 3.10
Yb: 0.2500 0.2500 0.2500  4 Hg 3.10, 4 Ag 3.10
Hg: 0.0000 0.0000 0.0000  8 Yb 3.10

Number 1: formation energy from the elements -466 meV per atom, magnetic moment 0.0 μB/f.u.. Number 2: formation energy from the elements -415 meV per atom, magnetic moment 0.2 μB/f.u.. Number 3: formation energy from the elements -417 meV per atom, magnetic moment 0.0 μB/f.u.. Number 4: formation energy from the elements -415 meV per atom, magnetic moment 0.0 μB/f.u.. Number 5: formation energy from the elements -431 meV per atom, magnetic moment 0.0 μB/f.u.. Number 6: formation energy from the elements -236 meV per atom, magnetic moment 0.0 μB/f.u.. Number 7: formation energy from the elements -383 meV per atom, magnetic moment 0.0 μB/f.u.. Number 8: formation energy from the elements -484 meV per atom, magnetic moment 0.0 μB/f.u..